Al2Cr2O7 | GGA+U | optimized geometry

Structure (POSCAR):
```
Al2Cr2O7
1.0
0.000 4.748 4.748
4.748 0.000 4.748
4.748 4.748 0.000
Al Cr O
4 4 14
Cartesian
1.187 1.187 1.187
1.187 3.561 3.561
3.561 3.561 1.187
3.561 1.187 3.561
5.935 5.935 5.935
5.935 3.561 3.561
3.561 3.561 5.935
3.561 5.935 3.561
0.000 0.000 0.000
2.374 2.374 2.374
4.748 4.748 2.574
7.121 7.121 4.948
4.748 6.921 4.748
2.574 4.748 4.748
6.921 4.748 4.748
4.748 2.574 4.748
4.748 4.748 6.921
4.948 7.121 7.121
9.295 7.121 7.121
7.121 7.121 9.295
7.121 9.295 7.121
7.121 4.948 7.121
```

Values from the calculation:
Final energy (eV per atom): -7.004
SG: Fd-3m
Crystal system: cubic
V (Å³/cell): 214
Energy above the most stable polymorph in this dataset (meV per atom): 73

Co2SiO4 | GGA+U | optimized geometry

Structure (POSCAR):
```
Co2SiO4
1.0
4.914 -4.503 3.918
-5.219 -4.947 2.839
2.449 2.028 -7.048
Co Si O
8 4 16
Cartesian
1.186 -0.182 -2.669
2.343 -5.781 4.483
0.957 -7.241 2.379
-2.648 -3.669 2.275
2.029 -4.996 -1.898
0.115 -2.427 1.608
0.000 0.000 0.000
-0.153 -4.725 3.379
-0.640 -5.327 0.088
2.783 -2.096 -0.378
-0.561 -2.897 -1.650
2.704 -4.526 1.360
-0.713 -1.954 -0.306
4.161 -4.094 1.998
3.124 -0.782 -3.411
2.934 -3.069 -1.700
2.856 -5.469 0.016
-2.018 -3.329 -2.288
-0.981 -6.641 3.121
-0.791 -4.354 1.410
1.866 -0.751 -0.708
0.277 -6.672 0.418
1.721 -5.232 2.497
0.422 -2.191 -2.787
0.762 0.207 -4.674
1.381 -7.630 4.384
2.008 -3.063 0.804
0.136 -4.360 -1.094
```

Values from the calculation:
Final energy (eV per atom): -6.863
SG: Imma
Crystal system: orthorhombic
V (Å³/cell): 283
Energy above the most stable polymorph in this dataset (meV per atom): 46

Mo3H2O10 | GGA+U | optimized geometry

Structure (POSCAR):
```
Mo3H2O10
1.0
-2.869 2.410 -1.072
-5.994 -3.545 8.101
6.679 8.345 1.552
Mo H O
6 4 20
Cartesian
1.740 4.084 1.309
0.356 4.067 5.049
3.118 6.789 4.019
-3.923 3.126 7.273
-2.540 3.143 3.532
-5.302 0.421 4.562
-0.863 1.022 0.556
5.481 8.135 1.257
-7.665 -0.925 7.325
-1.321 6.187 8.025
-2.901 1.524 7.996
-0.887 2.332 4.409
-3.689 -0.810 4.555
0.717 5.685 0.586
-1.297 4.878 4.172
1.505 8.019 4.026
1.114 2.856 0.274
-0.205 4.155 6.676
4.281 7.910 3.434
-3.298 4.354 8.308
-1.979 3.055 1.906
-6.465 -0.700 5.147
2.777 5.806 2.605
0.923 3.800 2.862
1.525 5.383 4.993
-4.961 1.403 5.976
-3.106 3.409 5.719
-3.708 1.826 3.589
0.006 5.423 9.331
-2.190 1.787 -0.750
```

Values from the calculation:
Final energy (eV per atom): -6.465
SG: P-1
Crystal system: triclinic
V (Å³/cell): 391

YCoB5O10 | GGA+U | optimized geometry

Structure (POSCAR):
```
YCoB5O10
1.0
7.663 0.000 0.000
0.000 8.641 0.000
0.000 8.050 9.427
Y Co B O
4 4 20 40
Cartesian
2.416 14.118 6.997
6.247 6.598 7.144
5.248 2.573 2.430
1.416 10.093 2.283
0.743 9.145 5.935
4.575 11.570 8.205
6.921 7.545 3.492
3.089 5.120 1.221
1.434 11.847 8.587
5.266 8.868 5.553
6.229 4.843 0.840
2.397 7.822 3.874
6.882 11.283 4.626
3.051 1.383 0.087
0.781 5.408 4.800
4.613 15.308 9.340
7.417 10.001 8.889
3.586 10.715 5.251
0.246 6.690 0.538
4.078 5.976 4.175
1.343 7.961 8.461
5.175 12.754 5.679
6.320 8.729 0.966
2.489 3.936 3.748
7.102 11.783 7.098
3.270 8.933 7.042
0.562 4.908 2.329
4.393 7.758 2.385
0.421 6.048 5.935
4.253 14.668 8.205
7.242 10.643 3.492
3.411 2.023 1.222
6.491 8.246 5.383
2.659 12.470 8.757
1.172 8.445 4.044
5.004 4.221 0.669
0.950 10.809 9.335
4.782 9.906 4.806
6.713 5.881 0.092
2.882 6.784 4.621
2.058 0.407 0.216
5.889 12.259 4.498
5.606 16.284 9.211
1.774 4.432 4.929
0.844 15.225 8.686
4.676 5.491 5.454
6.819 1.466 0.741
2.987 11.200 3.973
0.228 8.864 8.024
4.060 11.852 6.116
7.435 7.827 1.403
3.604 4.839 3.311
6.529 10.866 8.101
2.697 9.850 6.039
1.134 5.825 1.326
4.966 6.841 3.388
0.706 12.378 7.544
4.538 8.338 6.596
6.958 4.313 1.883
3.126 8.353 2.830
7.418 10.999 5.858
3.587 9.717 8.282
0.245 5.692 3.569
4.077 6.974 1.145
6.096 12.841 6.846
2.264 7.875 7.294
1.568 3.850 2.581
5.400 8.816 2.133
```

Values from the calculation:
Final energy (eV per atom): -8.043
SG: P2_1/c
Crystal system: monoclinic
V (Å³/cell): 624

LiMn3B3O9 | GGA+U | optimized geometry

Structure (POSCAR):
```
LiMn3B3O9
1.0
-5.246 0.000 0.000
-0.065 -7.761 0.000
2.418 2.732 9.129
Li Mn B O
2 6 6 18
Cartesian
-0.579 -2.636 2.255
-2.313 -2.393 6.874
-3.174 -1.704 3.499
-0.606 1.503 6.399
-2.196 0.384 8.831
-0.697 -5.413 0.297
-2.286 -6.532 2.730
0.282 -3.325 5.630
0.375 -0.113 1.539
-3.117 -4.002 1.518
-0.486 -0.589 4.430
-2.406 -4.440 4.699
0.225 -1.026 7.610
-3.268 -4.916 7.590
-3.617 -0.175 2.047
-0.258 -1.194 0.944
-2.420 1.674 7.398
-4.446 -3.816 1.049
-1.763 -0.233 3.972
-2.419 -3.041 2.129
0.246 0.240 5.215
-2.494 -5.235 1.205
0.009 -1.842 4.023
-2.902 -3.187 5.106
-0.398 0.206 7.924
-3.138 -5.269 3.914
-0.473 -1.987 7.000
-1.130 -4.796 5.157
1.554 -1.213 8.080
-0.472 -6.703 1.731
-2.634 -3.835 8.185
0.724 -4.854 7.082
```

Values from the calculation:
Final energy (eV per atom): -7.564
SG: P-1
Crystal system: triclinic
V (Å³/cell): 372
Energy above the most stable polymorph in this dataset (meV per atom): 14

CeMo12N2O54 | GGA+U | optimized geometry

Structure (POSCAR):
```
CeMo12N2O54
1.0
1.598 -3.007 9.973
1.661 -10.376 -0.795
10.482 -0.871 0.658
Ce Mo N O
1 12 2 54
Cartesian
0.000 0.000 0.000
7.225 -1.743 1.860
2.760 -7.142 0.274
2.027 -3.576 6.466
6.516 -12.510 7.977
10.980 -7.112 9.563
11.714 -10.678 3.371
8.977 -3.791 8.726
10.023 -8.382 0.611
3.200 -10.857 6.556
4.763 -10.463 1.111
3.717 -5.872 9.225
10.540 -3.396 3.281
8.769 -9.096 6.277
4.972 -5.157 3.559
6.707 -3.324 2.354
3.541 -6.773 1.779
3.474 -4.138 5.691
7.034 -10.930 7.483
10.200 -7.481 8.058
10.267 -10.116 4.146
10.139 -5.397 10.055
11.756 -9.583 1.731
4.687 -12.594 7.243
3.602 -8.856 -0.218
1.985 -4.671 8.106
9.054 -1.660 2.593
8.066 -11.017 2.181
5.141 -9.083 9.070
11.196 -5.214 6.218
5.675 -3.237 7.656
8.600 -5.171 0.766
2.545 -9.040 3.619
9.811 -10.237 0.037
3.025 -10.939 8.499
10.873 -3.418 8.436
3.929 -4.017 9.799
10.716 -3.315 1.337
2.868 -10.836 1.401
7.817 -4.445 10.194
11.502 -7.159 1.113
3.542 -12.110 5.057
5.924 -9.809 -0.358
2.239 -7.094 8.723
10.198 -2.143 4.779
8.521 -4.887 7.461
8.993 -8.204 1.996
4.428 -9.669 6.250
5.220 -9.366 2.375
4.748 -6.050 7.840
9.313 -4.584 3.586
9.894 -12.675 7.448
10.770 -10.522 9.345
12.221 -10.915 6.748
3.847 -1.578 2.388
2.971 -3.732 0.492
1.520 -3.338 3.089
7.086 -8.118 8.772
10.852 -7.046 5.064
7.312 -11.029 4.239
6.654 -6.136 1.064
2.889 -7.207 4.772
6.429 -3.225 5.598
9.677 -7.259 5.096
7.295 -9.892 4.608
7.199 -7.921 7.599
4.064 -6.994 4.740
6.445 -4.361 5.229
6.542 -6.332 2.238
```

Values from the calculation:
Final energy (eV per atom): -6.278
SG: R-3
Crystal system: trigonal
V (Å³/cell): 1087
Energy above the most stable polymorph in this dataset (meV per atom): 16

KHoMo2O8 | GGA+U | optimized geometry

Structure (POSCAR):
```
KHoMo2O8
1.0
5.134 0.000 0.000
0.000 8.093 0.000
0.000 0.000 18.446
K Ho Mo O
4 4 8 32
Cartesian
0.000 6.069 14.203
0.000 2.023 4.244
2.567 2.023 13.467
2.567 6.069 4.979
0.000 6.069 0.109
0.000 2.023 18.338
2.567 2.023 9.114
2.567 6.069 9.332
0.116 4.177 7.363
5.019 3.915 11.083
2.451 0.131 1.860
5.019 7.962 7.363
2.683 7.962 16.586
0.116 0.131 11.083
2.683 3.915 1.860
2.451 4.177 16.586
0.525 7.885 5.731
4.609 0.207 12.715
2.042 3.839 3.492
4.609 4.253 5.731
3.092 4.253 14.954
0.525 3.839 12.715
3.092 0.207 3.492
2.042 7.885 14.954
1.379 6.780 1.821
3.755 1.312 16.625
1.188 2.734 7.402
3.755 5.359 1.821
3.946 5.359 11.044
1.379 2.734 16.625
3.946 1.312 7.402
1.188 6.780 11.044
1.273 4.084 0.641
3.862 4.009 17.805
1.294 0.037 8.582
3.862 8.055 0.641
3.840 8.055 9.864
1.273 0.037 17.805
3.840 4.009 8.582
1.294 4.084 9.864
1.266 5.584 7.519
3.869 2.509 10.927
1.302 1.537 1.704
3.869 6.555 7.519
3.833 6.555 16.742
1.266 1.537 10.927
3.833 2.509 1.704
1.302 5.584 16.742
```

Values from the calculation:
Final energy (eV per atom): -7.139
SG: Pbcn
Crystal system: orthorhombic
V (Å³/cell): 766

Li6V3P8O29 | GGA+U | optimized geometry

Structure (POSCAR):
```
Li6V3P8O29
1.0
-3.848 8.868 -1.500
5.235 -4.280 -7.078
-11.608 -5.943 -5.024
Li V P O
12 6 16 58
Cartesian
-2.859 -5.732 -8.379
-4.329 -1.309 -10.227
0.767 2.317 -6.715
0.678 -0.868 -2.840
-4.559 1.281 -8.082
-5.669 -2.712 -5.566
-10.847 -0.351 -10.888
-2.088 3.729 -3.872
-5.861 -0.069 -3.396
-13.374 0.869 -6.545
-0.270 0.570 -0.317
-9.333 5.639 -4.234
-2.114 1.081 -6.067
-8.169 -2.474 -7.503
-5.737 -6.837 -7.752
-4.501 5.487 -5.823
0.656 -1.899 -8.935
-10.882 0.527 -4.625
-5.824 -6.925 -11.023
-0.230 -4.598 -7.307
-1.876 0.163 -9.245
0.693 -0.669 -5.849
-5.124 -3.624 -8.388
-8.362 -2.226 -10.729
-7.014 0.001 -9.315
-8.514 -5.590 -6.588
-1.702 4.213 -6.993
-3.229 -1.379 -4.286
-1.904 0.851 -2.804
-5.091 2.270 -5.191
-10.931 -0.662 -7.770
-8.354 -1.504 -4.363
-10.032 3.230 -6.252
-4.365 5.538 -2.595
-7.425 -1.335 -3.177
-0.137 -3.725 -8.572
-0.542 5.118 -7.273
-6.157 -7.381 -9.570
-6.303 -5.475 -11.260
0.893 -1.563 -7.126
-1.129 -1.158 -9.004
1.453 2.086 -8.551
-7.503 -3.033 -11.736
-4.955 -5.190 -8.446
-0.920 -3.857 -6.152
-5.433 -3.132 -9.854
1.898 0.051 -5.362
-3.894 -2.974 -7.841
-0.392 0.397 -6.311
-7.519 -6.171 -7.610
0.035 -1.569 -4.745
-2.588 0.675 -7.975
-7.612 -0.799 -10.591
-5.524 0.161 -9.524
-9.742 -1.987 -11.287
-8.374 -2.915 -9.357
-6.382 -3.298 -7.494
-1.202 2.809 -6.574
-2.887 -0.602 -5.567
-2.440 -2.680 -4.211
-2.554 3.983 -8.351
-4.753 2.951 -9.133
-5.668 -4.277 -4.385
-7.700 1.394 -9.351
-7.370 -0.779 -8.048
-8.945 -4.185 -6.998
-3.785 1.948 -6.046
-1.781 1.589 -4.172
-0.596 0.431 -2.205
-4.719 -1.617 -4.116
-2.774 -0.492 -3.024
-7.605 -2.041 -5.592
-10.222 0.197 -8.869
-2.678 4.720 -5.893
-9.860 -1.708 -7.285
-12.163 -1.303 -8.343
-6.256 1.595 -5.830
-4.820 1.745 -3.732
-9.305 2.547 -7.426
-5.130 3.838 -5.122
-2.734 1.731 -1.867
-4.205 -6.896 -11.043
-6.298 -7.919 -12.008
-9.124 -0.214 -4.707
-11.293 0.254 -6.554
-3.850 4.066 -2.564
-4.015 6.135 -3.970
-9.687 -6.507 -6.337
-11.577 3.396 -6.680
-10.068 2.299 -5.011
-2.866 0.102 -10.377
-5.968 5.551 -2.501
```

Values from the calculation:
Final energy (eV per atom): -7.015
SG: P1
Crystal system: triclinic
V (Å³/cell): 1162
Energy above the most stable polymorph in this dataset (meV per atom): 6

| no. | energy of formation (kJ per mole of atoms) |
| --- | --- |
| 1 | -214 |
| 2 | -202 |
| 3 | -159 |
| 4 | -277 |
| 5 | -231 |
| 6 | -84 |
| 7 | -246 |
| 8 | -256 |